VASP calculation (PBE with a Hubbard U) on a geometry-optimized Li9Mn2Co5O16 structure.

a b c (Å): 5.0450 6.5896 8.8971
angles (deg): 97.82 96.29 97.55
Atoms (fractional coordinates):
Li (0.0000, 0.0000, 0.0000)
Li (0.2420, 0.6908, 0.8170)
Li (0.2435, 0.4365, 0.0608)
Li (0.2452, 0.9375, 0.5660)
Li (0.2496, 0.1876, 0.3097)
Li (0.7504, 0.8124, 0.6903)
Li (0.7548, 0.0625, 0.4340)
Li (0.7565, 0.5635, 0.9392)
Li (0.7580, 0.3092, 0.1830)
Mn (0.4975, 0.8757, 0.1205)
Mn (0.5025, 0.1243, 0.8795)
Co (0.0000, 0.5000, 0.5000)
Co (0.0005, 0.2424, 0.7576)
Co (0.4948, 0.3704, 0.6258)
Co (0.5052, 0.6296, 0.3742)
Co (0.9995, 0.7576, 0.2424)
O (0.1338, 0.4900, 0.2873)
O (0.1390, 0.9923, 0.7846)
O (0.1401, 0.2299, 0.5370)
O (0.1454, 0.7273, 0.0411)
O (0.3605, 0.6422, 0.5853)
O (0.3797, 0.3855, 0.8427)
O (0.3799, 0.9021, 0.3245)
O (0.3955, 0.1392, 0.0831)
O (0.6045, 0.8608, 0.9169)
O (0.6201, 0.0979, 0.6755)
O (0.6203, 0.6145, 0.1573)
O (0.6395, 0.3578, 0.4147)
O (0.8546, 0.2727, 0.9589)
O (0.8599, 0.7701, 0.4630)
O (0.8610, 0.0077, 0.2154)
O (0.8662, 0.5100, 0.7127)

Calculated values
Raw total energy ... -5.811 eV per atom
DFT formation energy ... -1.821 eV per atom
Energy above the most stable polymorph in this dataset ... 43.4 meV/atom

VASP calculation (PBE with a Hubbard U) on a geometry-optimized Li4Ni3BiO8 structure.

a b c (Å): 6.0478 6.0478 6.0478
angles (deg): 60.20 60.20 60.20
Atoms (fractional coordinates):
Li (0.0000, 0.0000, 0.0000)
Li (0.0000, 0.5000, 0.5000)
Li (0.5000, 0.0000, 0.5000)
Li (0.5000, 0.5000, 0.0000)
Ni (0.0000, 0.0000, 0.5000)
Ni (0.0000, 0.5000, 0.0000)
Ni (0.5000, 0.0000, 0.0000)
Bi (0.5000, 0.5000, 0.5000)
O (0.2381, 0.2381, 0.2381)
O (0.2450, 0.7485, 0.7485)
O (0.2515, 0.2515, 0.7550)
O (0.2515, 0.7550, 0.2515)
O (0.7485, 0.2450, 0.7485)
O (0.7485, 0.7485, 0.2450)
O (0.7550, 0.2515, 0.2515)
O (0.7619, 0.7619, 0.7619)

Calculated values
Raw total energy ... -5.071 eV per atom
DFT formation energy ... -1.613 eV per atom
Energy above the most stable polymorph in this dataset ... 2.7 meV/atom

VASP calculation (PBE with a Hubbard U) on a geometry-optimized LiMnB2O5 structure.

a b c (Å): 6.8928 9.3051 6.0530
angles (deg): 90.00 104.44 90.00
Atoms (fractional coordinates):
Li (0.2116, 0.0620, 0.1659)
Li (0.2116, 0.4380, 0.6659)
Li (0.7884, 0.5620, 0.3341)
Li (0.7884, 0.9380, 0.8341)
Mn (0.2408, 0.6748, 0.2789)
Mn (0.2408, 0.8252, 0.7789)
Mn (0.7592, 0.1748, 0.2211)
Mn (0.7592, 0.3252, 0.7211)
B (0.0923, 0.1210, 0.6796)
B (0.0923, 0.3790, 0.1796)
B (0.4568, 0.0891, 0.7372)
B (0.4568, 0.4109, 0.2372)
B (0.5432, 0.5891, 0.7628)
B (0.5432, 0.9109, 0.2628)
B (0.9077, 0.6210, 0.8204)
B (0.9077, 0.8790, 0.3204)
O (0.0637, 0.7098, 0.9141)
O (0.0637, 0.7902, 0.4141)
O (0.0699, 0.5051, 0.2884)
O (0.0699, 0.9949, 0.7884)
O (0.2808, 0.1697, 0.6620)
O (0.2808, 0.3303, 0.1620)
O (0.3609, 0.6537, 0.6863)
O (0.3609, 0.8463, 0.1863)
O (0.4596, 0.5577, 0.2429)
O (0.4596, 0.9423, 0.7429)
O (0.5404, 0.0577, 0.2571)
O (0.5404, 0.4423, 0.7571)
O (0.6391, 0.1537, 0.8137)
O (0.6391, 0.3463, 0.3137)
O (0.7192, 0.6697, 0.8380)
O (0.7192, 0.8303, 0.3380)
O (0.9301, 0.0051, 0.2116)
O (0.9301, 0.4949, 0.7116)
O (0.9363, 0.2098, 0.5859)
O (0.9363, 0.2902, 0.0859)

Calculated values
Raw total energy ... -7.440 eV per atom
DFT formation energy ... -2.543 eV per atom
Energy above the most stable polymorph in this dataset ... 0.0 meV/atom

> raw total energy of number 1 (Li9Mn2Co5O16)?

-5.811 eV per atom

> Which of these has the highest raw total energy?

Li4Ni3BiO8